*1*
## LiCrSiO4 (PBE with a Hubbard U)

Data for an optimized crystal structure of LiCrSiO4.

Values from the calculation:
Volume, Å³/f.u.: 65.0

CIF file:
```
data_LiCrSiO4
_chemical_formula_sum 'Li4 Cr4 Si4 O16'
_cell_length_a 5.579
_cell_length_b 7.967
_cell_length_c 5.845
_cell_angle_alpha 90.00
_cell_angle_beta 90.00
_cell_angle_gamma 90.00
_symmetry_space_group_name_H-M 'P 1'
_symmetry_Int_Tables_number 1
_symmetry_space_group_name_Hall 'P 1'
loop_
_atom_site_label
_atom_site_type_symbol
_atom_site_fract_x
_atom_site_fract_y
_atom_site_fract_z
Li1 Li 0.250 0.250 0.250
Li2 Li 0.750 0.750 0.750
Li3 Li 0.750 0.250 0.250
Li4 Li 0.250 0.750 0.750
Cr1 Cr 0.500 0.500 0.500
Cr2 Cr 0.000 0.000 0.500
Cr3 Cr 0.000 0.000 0.000
Cr4 Cr 0.500 0.500 0.000
Si1 Si 0.500 0.135 0.750
Si2 Si 0.000 0.635 0.250
Si3 Si 0.000 0.365 0.750
Si4 Si 0.500 0.865 0.250
O1 O 0.756 0.492 0.750
O2 O 0.256 0.992 0.250
O3 O 0.256 0.008 0.750
O4 O 0.756 0.508 0.250
O5 O 0.244 0.492 0.750
O6 O 0.744 0.992 0.250
O7 O 0.744 0.008 0.750
O8 O 0.244 0.508 0.250
O9 O 0.500 0.249 0.985
O10 O 0.000 0.749 0.485
O11 O 0.500 0.249 0.515
O12 O 0.000 0.749 0.015
O13 O 0.000 0.251 0.515
O14 O 0.500 0.751 0.015
O15 O 0.000 0.251 0.985
O16 O 0.500 0.751 0.485
```

*2*
## LiCrSiO4 (PBE with a Hubbard U)

Data for an optimized crystal structure of LiCrSiO4.

Values from the calculation:
Volume, Å³/f.u.: 75.8
Symmetry: No. 14

CIF file:
```
data_LiCrSiO4
_chemical_formula_sum 'Li8 Cr8 Si8 O32'
_cell_length_a 10.784
_cell_length_b 5.566
_cell_length_c 10.112
_cell_angle_alpha 88.80
_cell_angle_beta 90.00
_cell_angle_gamma 90.00
_symmetry_space_group_name_H-M 'P 1'
_symmetry_Int_Tables_number 1
_symmetry_space_group_name_Hall 'P 1'
loop_
_atom_site_label
_atom_site_type_symbol
_atom_site_fract_x
_atom_site_fract_y
_atom_site_fract_z
Li1 Li 0.159 0.905 0.829
Li2 Li 0.341 0.905 0.329
Li3 Li 0.617 0.635 0.594
Li4 Li 0.883 0.635 0.094
Li5 Li 0.117 0.365 0.906
Li6 Li 0.383 0.365 0.406
Li7 Li 0.659 0.095 0.671
Li8 Li 0.841 0.095 0.171
Cr1 Cr 0.877 0.849 0.516
Cr2 Cr 0.623 0.849 0.016
Cr3 Cr 0.409 0.660 0.768
Cr4 Cr 0.091 0.660 0.268
Cr5 Cr 0.909 0.340 0.732
Cr6 Cr 0.591 0.340 0.232
Cr7 Cr 0.377 0.151 0.984
Cr8 Cr 0.123 0.151 0.484
Si1 Si 0.897 0.888 0.841
Si2 Si 0.603 0.888 0.341
Si3 Si 0.143 0.596 0.583
Si4 Si 0.357 0.596 0.083
Si5 Si 0.643 0.404 0.917
Si6 Si 0.857 0.404 0.417
Si7 Si 0.397 0.112 0.659
Si8 Si 0.103 0.112 0.159
O1 O 0.799 0.884 0.963
O2 O 0.497 0.889 0.642
O3 O 0.701 0.884 0.463
O4 O 0.003 0.889 0.142
O5 O 0.836 0.981 0.693
O6 O 0.059 0.840 0.567
O7 O 0.664 0.981 0.193
O8 O 0.441 0.840 0.067
O9 O 0.248 0.653 0.686
O10 O 0.972 0.631 0.830
O11 O 0.252 0.653 0.186
O12 O 0.528 0.631 0.330
O13 O 0.571 0.649 0.863
O14 O 0.320 0.499 0.931
O15 O 0.929 0.649 0.363
O16 O 0.180 0.499 0.431
O17 O 0.820 0.501 0.569
O18 O 0.071 0.351 0.637
O19 O 0.680 0.501 0.069
O20 O 0.429 0.351 0.137
O21 O 0.472 0.369 0.670
O22 O 0.748 0.347 0.814
O23 O 0.028 0.369 0.170
O24 O 0.752 0.347 0.314
O25 O 0.559 0.160 0.933
O26 O 0.336 0.019 0.807
O27 O 0.941 0.160 0.433
O28 O 0.164 0.019 0.307
O29 O 0.997 0.111 0.858
O30 O 0.299 0.116 0.537
O31 O 0.503 0.111 0.358
O32 O 0.201 0.116 0.037
```

Most stable structure, least stable structure: *1*, *2*.

*1*
## CaLaMn2O6 (PBE with a Hubbard U)

Data for an optimized crystal structure of CaLaMn2O6.

Values from the calculation:
Volume, Å³/f.u.: 117.5
Symmetry: No. 1

CIF file:
```
data_CaLaMn2O6
_chemical_formula_sum 'Ca2 La2 Mn4 O12'
_cell_length_a 5.537
_cell_length_b 7.595
_cell_length_c 5.597
_cell_angle_alpha 89.61
_cell_angle_beta 86.49
_cell_angle_gamma 89.51
_symmetry_space_group_name_H-M 'P 1'
_symmetry_Int_Tables_number 1
_symmetry_space_group_name_Hall 'P 1'
loop_
_atom_site_label
_atom_site_type_symbol
_atom_site_fract_x
_atom_site_fract_y
_atom_site_fract_z
Ca1 Ca 0.010 0.499 0.795
Ca2 Ca 0.517 0.000 0.203
La1 La 0.033 0.000 0.715
La2 La 0.525 0.500 0.286
Mn1 Mn 0.524 0.750 0.750
Mn2 Mn 0.023 0.249 0.249
Mn3 Mn 0.524 0.251 0.751
Mn4 Mn 0.021 0.750 0.250
O1 O 0.096 0.499 0.225
O2 O 0.597 0.999 0.770
O3 O 0.941 0.001 0.271
O4 O 0.439 0.502 0.735
O5 O 0.233 0.211 0.963
O6 O 0.241 0.792 0.965
O7 O 0.755 0.286 0.052
O8 O 0.721 0.711 0.017
O9 O 0.813 0.706 0.542
O10 O 0.815 0.293 0.538
O11 O 0.334 0.793 0.479
O12 O 0.293 0.209 0.443
```

*2*
## CaLaMn2O6 (PBE with a Hubbard U)

Data for an optimized crystal structure of CaLaMn2O6.

Values from the calculation:
Volume, Å³/f.u.: 116.7
Symmetry: No. 58

CIF file:
```
data_CaLaMn2O6
_chemical_formula_sum 'Ca4 La4 Mn8 O24'
_cell_length_a 5.530
_cell_length_b 7.674
_cell_length_c 11.004
_cell_angle_alpha 90.00
_cell_angle_beta 90.00
_cell_angle_gamma 90.00
_symmetry_space_group_name_H-M 'P 1'
_symmetry_Int_Tables_number 1
_symmetry_space_group_name_Hall 'P 1'
loop_
_atom_site_label
_atom_site_type_symbol
_atom_site_fract_x
_atom_site_fract_y
_atom_site_fract_z
Ca1 Ca 0.260 0.000 0.118
Ca2 Ca 0.240 0.500 0.618
Ca3 Ca 0.760 0.500 0.382
Ca4 Ca 0.740 0.000 0.882
La1 La 0.241 0.500 0.128
La2 La 0.259 0.000 0.628
La3 La 0.759 0.500 0.872
La4 La 0.741 0.000 0.372
Mn1 Mn 0.755 0.747 0.625
Mn2 Mn 0.745 0.753 0.125
Mn3 Mn 0.755 0.253 0.625
Mn4 Mn 0.745 0.247 0.125
Mn5 Mn 0.245 0.747 0.375
Mn6 Mn 0.255 0.247 0.875
Mn7 Mn 0.255 0.753 0.875
Mn8 Mn 0.245 0.253 0.375
O1 O 0.675 0.500 0.114
O2 O 0.825 0.000 0.614
O3 O 0.832 0.000 0.133
O4 O 0.668 0.500 0.633
O5 O 0.332 0.500 0.367
O6 O 0.168 0.000 0.867
O7 O 0.175 0.000 0.386
O8 O 0.325 0.500 0.886
O9 O 0.000 0.712 0.000
O10 O 0.500 0.788 0.500
O11 O 0.500 0.212 0.500
O12 O 0.000 0.288 0.000
O13 O 0.517 0.793 0.754
O14 O 0.983 0.707 0.254
O15 O 0.983 0.293 0.254
O16 O 0.517 0.207 0.754
O17 O 0.500 0.204 0.000
O18 O 0.000 0.296 0.500
O19 O 0.000 0.704 0.500
O20 O 0.500 0.796 0.000
O21 O 0.483 0.207 0.246
O22 O 0.017 0.293 0.746
O23 O 0.017 0.707 0.746
O24 O 0.483 0.793 0.246
```

Most stable structure, least stable structure: *2*, *1*.